# 1
Below is a relaxed structure of Pm2CuSi, with properties calculated at the GGA-PBE level.

Cell lengths 7.166, 7.166, 7.166 Å; angles 90.00, 90.00, 90.00 degrees
Space group Fm-3m (No. 225)
Unique sites:
1 Pm 0.250 0.250 0.250 x8
2 Cu 0.000 0.000 0.000 x4
3 Si 0.000 0.000 0.500 x4

Calculated values
ΔH_f (0 K): -141 kJ/mol of formula units
VASP energy: -5.1397 eV per atom
E (MP2020): -5.122 eV/atom

***

# 2
Below is a relaxed structure of NaMgRuO3, with properties calculated at the GGA-PBE level.

Cell lengths 3.919, 3.919, 6.113 Å; angles 90.00, 90.00, 90.00 degrees
Space group P4mm (No. 99)
Unique sites:
1 Na 0.000 0.000 0.000 x1
2 Mg 0.000 0.000 0.488 x1
3 Ru 0.500 0.500 0.318 x1
4 O 0.000 0.500 0.426 x2
5 O 0.500 0.500 0.009 x1

Calculated values
Distance to the lowest polymorph of the same formula: 247.3 meV/atom
ΔH_f (0 K): -822 kJ/mol of formula units
VASP energy: -5.5836 eV per atom
Total magnetic moment: 0.00 μB per formula unit
E (MP2020): -5.927 eV/atom

***

# 3
Below is a relaxed structure of GeO2, with properties calculated at the GGA-PBE level.

Cell lengths 4.429, 4.527, 2.905 Å; angles 90.00, 90.00, 90.00 degrees
Space group Pnnm (No. 58)
Unique sites:
1 Ge 0.000 0.000 0.000 x2
2 O 0.205 0.182 0.500 x4

Calculated values
ΔH_f (0 K): -600 kJ/mol of formula units
VASP energy: -6.4529 eV per atom
Total magnetic moment: 0.00 μB per formula unit
E (MP2020): -6.911 eV/atom

***

# 4
Below is a relaxed structure of LiTeH12N4, with properties calculated at the GGA-PBE level.

Cell lengths 6.859, 7.356, 8.648 Å; angles 76.64, 66.71, 86.90 degrees
Space group P-1 (No. 2)
Unique sites:
1 Li 0.200 0.404 0.223 x2
2 Te 0.367 0.044 0.657 x2
3 H 0.003 0.718 0.188 x2
4 H 0.007 0.629 0.031 x2
5 H 0.032 0.215 0.534 x2
6 H 0.118 0.099 0.151 x2
7 H 0.127 0.610 0.474 x2
8 H 0.144 0.789 0.552 x2
9 H 0.216 0.745 0.006 x2
10 H 0.333 0.186 0.979 x2
11 H 0.353 0.092 0.165 x2
12 H 0.402 0.512 0.848 x2
13 H 0.464 0.604 0.299 x2
14 H 0.480 0.374 0.355 x2
15 N 0.038 0.704 0.542 x2
16 N 0.099 0.649 0.095 x2
17 N 0.259 0.174 0.111 x2
18 N 0.462 0.481 0.261 x2

Calculated values
ΔH_f (0 K): -846 kJ/mol of formula units
VASP energy: -4.8019 eV per atom
Total magnetic moment: 0.00 μB per formula unit
E (MP2020): -4.882 eV/atom

***

# 5
Below is a relaxed structure of PHF4, with properties calculated at the GGA-PBE level.

Cell lengths 4.702, 8.201, 9.982 Å; angles 90.00, 117.54, 90.00 degrees
Space group P2_1/c (No. 14)
Unique sites:
1 P 0.182 0.217 0.173 x4
2 H 0.336 0.117 0.114 x4
3 F 0.054 0.645 0.922 x4
4 F 0.116 0.587 0.385 x4
5 F 0.230 0.201 0.339 x4
6 F 0.483 0.156 0.731 x4

Calculated values
ΔH_f (0 K): -1371 kJ/mol of formula units
VASP energy: -4.8046 eV per atom
E (MP2020): -5.113 eV/atom